--- one ---
A plane-wave DFT calculation with GGA+U was carried out for a relaxed structure of Li2VCrO4.

abc: 5.1421 5.1701 6.0062
angles: 106.85 90.03 100.02
Fractional positions:
Li 0.0000 0.0000 0.0000
Li 0.4983 0.0034 0.7550
Li 0.0000 0.0000 0.5000
Li 0.5017 0.9966 0.2450
V 0.7502 0.5006 0.6246
V 0.2498 0.4994 0.3754
Cr 0.2496 0.4989 0.8767
Cr 0.7504 0.5011 0.1233
O 0.8798 0.2723 0.8220
O 0.6229 0.7239 0.9311
O 0.3748 0.2740 0.5689
O 0.1205 0.7284 0.6888
O 0.8795 0.2716 0.3112
O 0.6252 0.7260 0.4311
O 0.3771 0.2761 0.0689
O 0.1202 0.7277 0.1780

--- two ---
A plane-wave DFT calculation with GGA+U was carried out for a relaxed structure of Li2VCrO4.

abc: 4.0709 7.8452 5.2941
angles: 93.99 112.61 105.04
Fractional positions:
Li 0.6280 0.8735 0.3825
Li 0.1291 0.3694 0.8888
Li 0.2454 0.7556 0.7350
Li 0.7537 0.2450 0.2623
V 0.5011 0.4989 0.5032
V 0.9994 0.9998 0.9991
Cr 0.3726 0.1261 0.6195
Cr 0.8754 0.6266 0.1245
O 0.2534 0.2358 0.2707
O 0.7659 0.7450 0.7866
O 0.4888 0.0132 0.9645
O 0.9883 0.5095 0.4669
O 0.1182 0.8811 0.3556
O 0.6146 0.3868 0.8423
O 0.8814 0.1197 0.6432
O 0.3847 0.6143 0.1552

Q: Which of them is the most stable? A: one.

--- one ---
A plane-wave DFT calculation with GGA+U was carried out for a relaxed structure of Sr2AlGaW2O7.

abc: 5.5047 6.1273 11.8324
angles: 105.09 103.12 90.01
Fractional positions:
Sr 0.1535 0.1698 0.3062
Sr 0.8342 0.8115 0.6873
Sr 0.6594 0.6235 0.3124
Sr 0.3299 0.3755 0.6800
Al 0.4561 0.4544 0.9818
Al 0.0324 0.9966 0.9997
Ga 0.2218 0.8188 0.4960
Ga 0.7222 0.1766 0.4991
W 0.4427 0.9132 0.8710
W 0.0852 0.5859 0.1326
W 0.9418 0.4190 0.8672
W 0.5651 0.0795 0.1340
O 0.7007 0.4078 0.1030
O 0.8900 0.9069 0.5026
O 0.2109 0.2443 0.1214
O 0.8386 0.3814 0.6518
O 0.8015 0.0940 0.8854
O 0.2791 0.2289 0.8504
O 0.3875 0.0939 0.4990
O 0.0916 0.7538 0.8732
O 0.5941 0.5851 0.8852
O 0.3546 0.7518 0.6418
O 0.1753 0.6085 0.3465
O 0.7136 0.2509 0.3564
O 0.9024 0.8999 0.1097
O 0.3961 0.8310 0.1945

--- two ---
A plane-wave DFT calculation with GGA+U was carried out for a relaxed structure of Sr2AlGaW2O7.

abc: 5.6865 6.1374 11.8013
angles: 104.69 103.84 88.74
Fractional positions:
Sr 0.8805 0.8142 0.6965
Sr 0.1483 0.2170 0.3305
Sr 0.3482 0.3634 0.6916
Sr 0.6536 0.6155 0.3168
Al 0.3819 0.5987 0.9760
Al 0.9525 0.1235 0.0534
Ga 0.7205 0.1678 0.5066
Ga 0.2285 0.8294 0.5049
W 0.5826 0.0704 0.1455
W 0.9225 0.3891 0.8582
W 0.0931 0.5855 0.1431
W 0.4519 0.9307 0.8520
O 0.6095 0.5982 0.8924
O 0.3920 0.0923 0.5017
O 0.1549 0.7075 0.8715
O 0.2172 0.6315 0.3536
O 0.9405 0.9188 0.1480
O 0.4312 0.7398 0.1332
O 0.8924 0.8958 0.4971
O 0.2538 0.2497 0.1420
O 0.8169 0.3595 0.1580
O 0.6913 0.2283 0.3551
O 0.8411 0.3907 0.6454
O 0.3394 0.7404 0.6458
O 0.6664 0.1243 0.7889
O 0.1813 0.1556 0.8041

Q: Which of them is the most stable? A: one.

--- one ---
A plane-wave DFT calculation with GGA+U was carried out for a relaxed structure of Li3V3P8O29.

abc: 9.7549 9.7579 14.1581
angles: 90.30 89.99 119.92
Fractional positions:
Li 0.6761 0.9072 0.5497
Li 0.0939 0.3208 0.0644
Li 0.2340 0.3274 0.5541
Li 0.9137 0.6913 0.9456
Li 0.7767 0.0834 0.9466
Li 0.0153 0.9723 0.4849
V 0.5678 0.5666 0.2482
V 0.4356 0.4337 0.7549
V 0.0039 0.5697 0.7422
V 0.9942 0.4344 0.2584
V 0.4319 0.0010 0.2483
V 0.5580 0.9990 0.7491
P 0.2248 0.9154 0.8436
P 0.0871 0.7821 0.3398
P 0.6869 0.9126 0.3396
P 0.3297 0.6626 0.1315
P 0.3361 0.6643 0.6303
P 0.6853 0.7732 0.8431
P 0.7712 0.6899 0.6583
P 0.0867 0.3209 0.8426
P 0.9123 0.6819 0.1582
P 0.2281 0.3136 0.3424
P 0.3128 0.2257 0.1597
P 0.6612 0.3323 0.3699
P 0.6735 0.3367 0.8681
P 0.3047 0.0850 0.6579
P 0.9132 0.2221 0.6601
P 0.7726 0.0897 0.1594
O 0.2165 0.0060 0.5711
O 0.2611 0.9163 0.3322
O 0.9901 0.7484 0.0667
O 0.0810 0.7441 0.8348
O 0.3797 0.9063 0.8193
O 0.3397 0.8155 0.1763
O 0.5310 0.9148 0.3272
O 0.7675 0.0097 0.0687
O 0.6592 0.9178 0.8394
O 0.1889 0.6708 0.6740
O 0.0824 0.6198 0.3313
O 0.4890 0.8143 0.6721
O 0.3325 0.6603 0.0264
O 0.3377 0.6639 0.5256
O 0.4746 0.6563 0.1773
O 0.0953 0.4801 0.8199
O 0.1781 0.5168 0.1726
O 0.6550 0.7408 0.3304
O 0.7922 0.7948 0.7514
O 0.7803 0.7843 0.5742
O 0.7657 0.7626 0.9288
O 0.5231 0.6192 0.8233
O 0.3281 0.5120 0.6721
O 0.7424 0.6555 0.1671
O 0.3844 0.4694 0.3296
O 0.0886 0.3476 0.3310
O 0.0069 0.7989 0.2441
O 0.0053 0.7983 0.4233
O 0.0082 0.2189 0.5793
O 0.9104 0.6550 0.6658
O 0.6143 0.5320 0.6731
O 0.2553 0.3439 0.8334
O 0.6653 0.4801 0.3248
O 0.4731 0.3797 0.1763
O 0.2251 0.2323 0.0761
O 0.2117 0.2294 0.4334
O 0.2090 0.2008 0.2551
O 0.3419 0.2600 0.6655
O 0.8202 0.4845 0.8249
O 0.9044 0.5226 0.1815
O 0.5248 0.3388 0.8228
O 0.6738 0.3359 0.9726
O 0.6649 0.3312 0.4747
O 0.5161 0.1844 0.3242
O 0.9130 0.3817 0.6722
O 0.8129 0.3308 0.3269
O 0.3423 0.0838 0.1637
O 0.2051 0.0020 0.7516
O 0.2385 0.9998 0.9323
O 0.4653 0.0849 0.6744
O 0.6685 0.1836 0.8245
O 0.6195 0.0962 0.1779
O 0.9183 0.2595 0.1647
O 0.0047 0.2511 0.9335
O 0.9864 0.2010 0.7584
O 0.7404 0.0819 0.6606
O 0.7736 0.9866 0.4296
O 0.7953 0.0017 0.2492

--- two ---
A plane-wave DFT calculation with GGA+U was carried out for a relaxed structure of Li3V3P8O29.

abc: 9.7077 9.7480 14.3260
angles: 90.96 89.61 119.68
Fractional positions:
Li 0.7687 0.6736 0.9441
Li 0.9129 0.6761 0.4383
Li 0.2332 0.3293 0.0586
Li 0.6744 0.7731 0.5515
Li 0.0001 0.9958 0.9997
Li 0.0639 0.0753 0.4939
V 0.9966 0.4327 0.7468
V 0.0053 0.5626 0.2477
V 0.4345 0.4301 0.2539
V 0.5601 0.5619 0.7496
V 0.4376 0.9984 0.7546
V 0.5600 0.0014 0.2480
P 0.2970 0.0798 0.1567
P 0.3080 0.2159 0.6643
P 0.7782 0.0797 0.6617
P 0.6689 0.3379 0.8660
P 0.6714 0.3371 0.3678
P 0.9130 0.2158 0.1613
P 0.0822 0.3055 0.3439
P 0.7745 0.6820 0.1592
P 0.2215 0.3135 0.8426
P 0.9098 0.6845 0.6537
P 0.0831 0.7804 0.8348
P 0.3341 0.6673 0.6340
P 0.3366 0.6623 0.1327
P 0.2182 0.9184 0.3416
P 0.6840 0.7775 0.3368
P 0.6993 0.9167 0.8457
O 0.1946 0.9943 0.4258
O 0.3504 0.0833 0.6713
O 0.2153 0.2414 0.9341
O 0.3420 0.2580 0.1653
O 0.4538 0.0731 0.1692
O 0.5217 0.1892 0.8238
O 0.6171 0.0749 0.6746
O 0.7973 0.9860 0.9304
O 0.7371 0.0844 0.1657
O 0.5219 0.3381 0.3219
O 0.4637 0.3791 0.6761
O 0.6661 0.1897 0.3187
O 0.6757 0.3556 0.9691
O 0.6664 0.3408 0.4711
O 0.8144 0.3355 0.8195
O 0.6165 0.5280 0.1738
O 0.6697 0.4877 0.8222
O 0.9124 0.2553 0.6663
O 0.9919 0.1951 0.2547
O 0.0144 0.2159 0.4301
O 0.0027 0.2041 0.0798
O 0.9196 0.3788 0.1731
O 0.8180 0.4878 0.3278
O 0.0832 0.3471 0.8287
O 0.9100 0.5280 0.6709
O 0.7371 0.6564 0.6641
O 0.2068 0.1966 0.7587
O 0.2148 0.2065 0.5815
O 0.7664 0.7733 0.4243
O 0.2588 0.3478 0.3292
O 0.0766 0.4603 0.3308
O 0.9141 0.6483 0.1720
O 0.1857 0.5218 0.6765
O 0.0763 0.6188 0.8253
O 0.9923 0.7970 0.9143
O 0.9752 0.7573 0.5620
O 0.0089 0.8022 0.7380
O 0.0860 0.7401 0.3353
O 0.3321 0.5105 0.1707
O 0.3798 0.4705 0.8252
O 0.1875 0.6610 0.1816
O 0.3285 0.6594 0.0295
O 0.3471 0.6730 0.5309
O 0.3359 0.8129 0.6834
O 0.5255 0.6200 0.3228
O 0.4864 0.6692 0.6763
O 0.2587 0.9147 0.8338
O 0.1954 0.9981 0.2492
O 0.1990 0.0073 0.0724
O 0.3820 0.9272 0.3281
O 0.4793 0.8108 0.1797
O 0.5442 0.9255 0.8337
O 0.6541 0.7381 0.8353
O 0.7891 0.7626 0.0695
O 0.7937 0.7968 0.2473
O 0.6534 0.9178 0.3329
O 0.7909 0.9936 0.5783
O 0.8026 0.0005 0.7538

Q: Which of them is the most stable? A: two.